(1)
Below is a relaxed structure of YAl7Cu5, with properties calculated at the meta-GGA r2SCAN level.

The structure in CIF format:
```
data_YAl7Cu5
_space_group_name_H-M_alt 'I m m 2'
_space_group_IT_number 44
_cell_length_a 5.0760
_cell_length_b 8.6704
_cell_length_c 8.6007
_cell_angle_alpha 90.00
_cell_angle_beta 90.00
_cell_angle_gamma 90.00
loop_
_space_group_symop_operation_xyz
'x,y,z'
'-x,-y,z'
'-x,y,z'
'x,-y,z'
'x+1/2,y+1/2,z+1/2'
'-x+1/2,-y+1/2,z+1/2'
'-x+1/2,y+1/2,z+1/2'
'x+1/2,-y+1/2,z+1/2'
loop_
_atom_site_label
_atom_site_fract_x
_atom_site_fract_y
_atom_site_fract_z
_atom_site_occupancy
Y1 0.0000 0.0000 0.0000 1
Al1 0.0000 0.0000 0.3449 1
Al2 0.0000 0.0000 0.6499 1
Al3 0.0000 0.2903 0.5075 1
Al4 0.0000 0.3480 0.9924 1
Al5 0.0000 0.5000 0.2731 1
Cu1 0.0000 0.5000 0.7273 1
Cu2 0.2485 0.2527 0.2523 1
```

(2)
Below is a relaxed structure of ScCuSn, with properties calculated at the meta-GGA r2SCAN level.

The structure in CIF format:
```
data_ScCuSn
_space_group_name_H-M_alt 'P 63 m c'
_space_group_IT_number 186
_space_group_name_Hall 'P 6c -2c'
_cell_length_a 4.3846
_cell_length_b 4.3846
_cell_length_c 6.9011
_cell_angle_alpha 90.00
_cell_angle_beta 90.00
_cell_angle_gamma 120.00
loop_
_atom_site_label
_atom_site_fract_x
_atom_site_fract_y
_atom_site_fract_z
_atom_site_occupancy
Sc1 0.0000 0.0000 0.0000 1
Cu1 0.3333 0.6667 0.3349 1
Sn1 0.3333 0.6667 0.7311 1
```

Energy of formation, respectively: -0.379 -0.584 eV/atom.
M_tot, respectively: 0.0 0.0 μB per formula unit.